LiFeP3O9: relaxed, GGA+U.

Calculated values
Energy relative to the elements: -2512 meV per atom
E above lowest polymorph: 43 meV/atom
DFT total energy: -391.5 eV per cell
Spin magnetization: 0.29 μB per atom
E (MP2020): -7.594 eV per atom

Cell and atoms, written as POSCAR:
```
LiFeP3O9
1.0
7.312 0.000 0.000
0.000 9.154 0.000
0.000 0.000 12.235
Li Fe P O
4 4 12 36
Direct
0.750 0.953 0.998
0.750 0.453 0.502
0.250 0.547 0.498
0.250 0.047 0.002
0.750 0.528 0.717
0.750 0.028 0.783
0.250 0.972 0.217
0.250 0.472 0.283
0.955 0.748 0.351
0.955 0.248 0.149
0.750 0.309 0.957
0.750 0.809 0.543
0.545 0.248 0.149
0.545 0.748 0.351
0.455 0.252 0.649
0.455 0.752 0.851
0.250 0.191 0.457
0.250 0.691 0.043
0.045 0.252 0.649
0.045 0.752 0.851
0.973 0.654 0.764
0.973 0.154 0.736
0.940 0.888 0.883
0.940 0.388 0.617
0.920 0.344 0.039
0.920 0.844 0.461
0.750 0.695 0.318
0.750 0.914 0.634
0.750 0.414 0.866
0.750 0.146 0.936
0.750 0.195 0.182
0.750 0.646 0.564
0.580 0.344 0.039
0.580 0.844 0.461
0.560 0.888 0.883
0.560 0.388 0.617
0.527 0.654 0.764
0.527 0.154 0.736
0.473 0.846 0.264
0.473 0.346 0.236
0.440 0.112 0.117
0.440 0.612 0.383
0.420 0.156 0.539
0.420 0.656 0.961
0.250 0.854 0.064
0.250 0.586 0.134
0.250 0.354 0.436
0.250 0.086 0.366
0.250 0.305 0.682
0.250 0.805 0.818
0.080 0.156 0.539
0.080 0.656 0.961
0.060 0.612 0.383
0.060 0.112 0.117
0.027 0.346 0.236
0.027 0.846 0.264
```